## Sr10Mg2Fe3Mo5O30 (PBE with a Hubbard U)

Data for Sr10Mg2Fe3Mo5O30 after structural relaxation.

Cell: 7.9382 9.7905 9.8569 Å, 81.20 66.31 66.09°
Space group P-1 (No. 2)
Asymmetric unit:
Sr 0.0479 0.1011 0.2993 x2
Sr 0.1564 0.2969 0.8981 x2
Sr 0.2621 0.5012 0.4998 x2
Sr 0.3500 0.7051 0.1016 x2
Sr 0.4464 0.9007 0.6998 x2
Mg 0.2998 0.6010 0.8005 x2
Fe 0.1023 0.1977 0.5998 x2
Fe 0.5000 0.0000 0.0000 x1
Mo 0.0000 0.0000 0.0000 x1
Mo 0.1977 0.4038 0.2019 x2
Mo 0.3994 0.8001 0.3994 x2
O 0.0477 0.1028 0.7990 x2
O 0.0633 0.5686 0.7851 x2
O 0.0922 0.5963 0.3028 x2
O 0.1063 0.8087 0.9046 x2
O 0.1327 0.8318 0.4159 x2
O 0.1461 0.3072 0.3974 x2
O 0.2416 0.5036 0.0136 x2
O 0.2750 0.9695 0.9830 x2
O 0.2875 0.0070 0.4953 x2
O 0.3036 0.2085 0.1047 x2
O 0.3342 0.2297 0.6141 x2
O 0.3462 0.7054 0.5982 x2
O 0.4510 0.8996 0.1976 x2
O 0.4629 0.3682 0.1847 x2
O 0.4859 0.3961 0.7028 x2

Calculated values
- ΔE_f: -2.664 eV/atom


## LiMnBO3 (PBE with a Hubbard U)

Data for LiMnBO3 after structural relaxation.

Cell: 10.5515 9.1103 10.5379 Å, 90.00 92.21 90.00°
Space group P2_1/c (No. 14)
Asymmetric unit:
Li 0.0424 0.2374 0.3383 x4
Li 0.2045 0.2446 0.5902 x4
Li 0.2927 0.7394 0.3390 x4
Li 0.4539 0.7440 0.5900 x4
Mn 0.0470 0.5868 0.8806 x4
Mn 0.2039 0.5830 0.6224 x4
Mn 0.2911 0.0874 0.8727 x4
Mn 0.4601 0.0840 0.6302 x4
B 0.0419 0.5802 0.3699 x4
B 0.2085 0.5807 0.1311 x4
B 0.2912 0.0810 0.3808 x4
B 0.4589 0.0816 0.1198 x4
O 0.0097 0.5572 0.6600 x4
O 0.0323 0.2050 0.1442 x4
O 0.0808 0.5898 0.0904 x4
O 0.1699 0.5922 0.4099 x4
O 0.2142 0.2027 0.3946 x4
O 0.2397 0.5534 0.8403 x4
O 0.2621 0.0564 0.6613 x4
O 0.2812 0.7066 0.1454 x4
O 0.3294 0.0900 0.0879 x4
O 0.4211 0.0921 0.4115 x4
O 0.4652 0.7045 0.3926 x4
O 0.4878 0.0529 0.8403 x4

Calculated values
- ΔE_f: -2.507 eV/atom


## LiCrSi2O6 (PBE with a Hubbard U)

Data for LiCrSi2O6 after structural relaxation.

Cell: 7.0191 7.3377 7.4071 Å, 80.93 61.84 77.29°
Space group P-1 (No. 2)
Asymmetric unit:
Li 0.0000 0.0000 0.0000 x1
Li 0.0894 0.2969 0.2442 x2
Cr 0.4472 0.7284 0.7500 x2
Cr 0.5000 0.0000 0.0000 x1
Si 0.1863 0.6648 0.2465 x2
Si 0.2562 0.3388 0.7835 x2
Si 0.2959 0.8942 0.4750 x2
O 0.0489 0.3364 0.7421 x2
O 0.1319 0.7818 0.4473 x2
O 0.2105 0.9288 0.7117 x2
O 0.2500 0.5523 0.8134 x2
O 0.2572 0.1890 0.9700 x2
O 0.2968 0.4509 0.2581 x2
O 0.3261 0.7956 0.0427 x2
O 0.3610 0.0656 0.2980 x2
O 0.4749 0.2633 0.5635 x2

Calculated values
- ΔE_f: -2.888 eV/atom


## VTeO4 (PBE with a Hubbard U)

Data for VTeO4 after structural relaxation.

Cell: 5.1399 5.0415 12.8017 Å, 90.00 106.38 90.00°
Space group P2_1/c (No. 14)
Asymmetric unit:
V 0.1127 0.2264 0.0671 x4
Te 0.3240 0.1964 0.3334 x4
O 0.0636 0.0790 0.2018 x4
O 0.1310 0.0482 0.4317 x4
O 0.2433 0.5501 0.5169 x4
O 0.4431 0.1096 0.6641 x4

Calculated values
- ΔE_f: -2.003 eV/atom


## Mn3VCu2P6O24 (PBE with a Hubbard U)

Data for Mn3VCu2P6O24 after structural relaxation.

Cell: 8.5832 8.5832 20.8669 Å, 90.00 90.00 120.00°
Space group R3 (No. 146, hexagonal axes)
Asymmetric unit:
Mn 0.0000 0.0000 0.0000 x3
Mn 0.0000 0.0000 0.2148 x3
Mn 0.0000 0.0000 0.7145 x3
V 0.0000 0.0000 0.4999 x3
Cu 0.0000 0.0000 0.3584 x3
Cu 0.0000 0.0000 0.8566 x3
P 0.9997 0.2927 0.6075 x9
P 0.0420 0.6675 0.7743 x9
O 0.0000 0.1983 0.6694 x9
O 0.0039 0.8038 0.0455 x9
O 0.0197 0.1822 0.2798 x9
O 0.0198 0.8375 0.7802 x9
O 0.1388 0.6691 0.8360 x9
O 0.1451 0.4735 0.2133 x9
O 0.1684 0.6826 0.1041 x9
O 0.1720 0.4816 0.5994 x9

Calculated values
- ΔE_f: -2.259 eV/atom


## Ni5P8O28 (PBE with a Hubbard U)

Data for Ni5P8O28 after structural relaxation.

Cell: 9.2543 10.7232 12.7533 Å, 80.09 73.93 64.54°
Space group P-1 (No. 2)
Asymmetric unit:
Ni 0.1088 0.2816 0.1077 x2
Ni 0.1143 0.2828 0.6116 x2
Ni 0.2378 0.7570 0.4357 x2
Ni 0.2494 0.7534 0.9364 x2
Ni 0.2918 0.0097 0.2604 x2
P 0.1329 0.8072 0.6901 x2
P 0.1436 0.8131 0.1927 x2
P 0.1551 0.0440 0.0414 x2
P 0.1599 0.0499 0.5369 x2
P 0.2290 0.4605 0.3966 x2
P 0.2453 0.4592 0.8958 x2
P 0.3715 0.2850 0.2100 x2
P 0.4079 0.2821 0.7103 x2
O 0.0009 0.2253 0.7531 x2
O 0.0110 0.1924 0.5303 x2
O 0.0173 0.1925 0.0307 x2
O 0.0422 0.1880 0.2608 x2
O 0.0581 0.5286 0.3705 x2
O 0.0641 0.9691 0.1408 x2
O 0.0846 0.5447 0.8584 x2
O 0.0900 0.9637 0.6367 x2
O 0.2068 0.3623 0.1754 x2
O 0.2179 0.9611 0.9424 x2
O 0.2220 0.9673 0.4353 x2
O 0.2319 0.7119 0.5961 x2
O 0.2330 0.3321 0.9650 x2
O 0.2334 0.8279 0.2733 x2
O 0.2341 0.3251 0.6971 x2
O 0.2356 0.7757 0.7733 x2
O 0.2401 0.3347 0.4752 x2
O 0.2585 0.7220 0.0994 x2
O 0.2784 0.0710 0.0872 x2
O 0.2795 0.0893 0.5722 x2
O 0.2842 0.5592 0.4277 x2
O 0.2953 0.5486 0.9462 x2
O 0.3663 0.3903 0.2883 x2
O 0.3802 0.1485 0.2730 x2
O 0.3880 0.3968 0.7884 x2
O 0.4781 0.1385 0.7670 x2
O 0.4797 0.7019 0.3988 x2
O 0.4862 0.7303 0.8873 x2

Calculated values
- ΔE_f: -1.962 eV/atom


## Na13Ni11O24 (PBE with a Hubbard U)

Data for Na13Ni11O24 after structural relaxation.

Cell: 8.1297 8.2177 9.0494 Å, 107.20 102.46 111.59°
Space group P-1 (No. 2)
Asymmetric unit:
Na 0.0000 0.0000 0.0000 x1
Na 0.0814 0.7104 0.1226 x2
Na 0.0843 0.2098 0.6170 x2
Na 0.2446 0.1209 0.3698 x2
Na 0.2535 0.6168 0.8707 x2
Na 0.4129 0.0398 0.1211 x2
Na 0.4149 0.5393 0.6211 x2
Ni 0.0000 0.5000 0.5000 x1
Ni 0.1622 0.4144 0.2486 x2
Ni 0.1712 0.9165 0.7465 x2
Ni 0.3319 0.3316 0.9980 x2
Ni 0.3340 0.8334 0.4988 x2
Ni 0.4973 0.7493 0.2491 x2
O 0.0620 0.5871 0.3336 x2
O 0.0848 0.1048 0.8168 x2
O 0.1078 0.3318 0.4200 x2
O 0.1115 0.8043 0.8980 x2
O 0.2240 0.4984 0.0794 x2
O 0.2329 0.0041 0.5801 x2
O 0.2754 0.7473 0.6655 x2
O 0.2873 0.2637 0.1782 x2
O 0.3921 0.9193 0.3299 x2
O 0.4042 0.4247 0.8358 x2
O 0.4367 0.6630 0.4157 x2
O 0.4433 0.1673 0.9203 x2

Calculated values
- ΔE_f: -1.312 eV/atom


## Li4Mn3Nb3Sn2O16 (PBE with a Hubbard U)

Data for Li4Mn3Nb3Sn2O16 after structural relaxation.

Cell: 10.9806 6.1351 10.0713 Å, 90.00 91.52 90.00°
Space group Cm (No. 8)
Asymmetric unit:
Li 0.0000 0.0000 0.0000 x2
Li 0.0021 0.0000 0.5129 x2
Li 0.1599 0.5000 0.9093 x2
Li 0.3335 0.0000 0.4246 x2
Mn 0.3382 0.5000 0.2306 x2
Mn 0.4199 0.2445 0.7273 x4
Nb 0.0925 0.2540 0.2296 x4
Nb 0.1753 0.0000 0.7334 x2
Sn 0.1800 0.5000 0.5157 x2
Sn 0.3453 0.0000 0.9985 x2
O 0.0111 0.0000 0.3294 x2
O 0.0157 0.0000 0.8200 x2
O 0.0242 0.5000 0.3570 x2
O 0.0971 0.2454 0.6140 x4
O 0.1651 0.5000 0.1161 x2
O 0.1751 0.0000 0.1208 x2
O 0.2335 0.2721 0.3561 x4
O 0.2515 0.2170 0.8652 x4
O 0.3182 0.0000 0.6186 x2
O 0.3468 0.5000 0.6010 x2
O 0.4342 0.2470 0.1168 x4
O 0.4821 0.0000 0.8665 x2

Calculated values
- ΔE_f: -2.426 eV/atom


Q: Among the records above, which one has the highest ΔE_f?
A: Na13Ni11O24


Q: Which value of ΔE_f does entry 7 give?
A: -1.312 eV/atom


Q: The lowest ΔE_f belongs to which entry?
A: LiCrSi2O6